No. 1
## SiC (PBE-GGA)

Data for a relaxed SiC crystal.

a = 27.8355 Å, b = 27.8355 Å, c = 27.8355 Å
α = 6.38°, β = 6.38°, γ = 6.38°
Sites, in units of the cell vectors:
Si: 0.6061 0.6061 0.6061
Si: 0.3030 0.3030 0.3030
Si: 0.5455 0.5455 0.5455
Si: 0.1819 0.1819 0.1819
Si: 0.8182 0.8182 0.8182
Si: 0.1212 0.1212 0.1212
Si: 0.9091 0.9091 0.9091
Si: 0.0000 0.0000 0.0000
Si: 0.7273 0.7273 0.7273
Si: 0.3637 0.3637 0.3637
Si: 0.4243 0.4243 0.4243
C: 0.7954 0.7954 0.7954
C: 0.4015 0.4015 0.4015
C: 0.0985 0.0985 0.0985
C: 0.9772 0.9772 0.9772
C: 0.5833 0.5833 0.5833
C: 0.7045 0.7045 0.7045
C: 0.5227 0.5227 0.5227
C: 0.2803 0.2803 0.2803
C: 0.3409 0.3409 0.3409
C: 0.1591 0.1591 0.1591
C: 0.8863 0.8863 0.8863

Values from the calculation:
crystal system: trigonal
energy above the lowest structure with this stoichiometry: 0.032 eV per atom

---

No. 2
## HfSn (PBE-GGA)

Data for a relaxed HfSn crystal.

a = 5.6680 Å, b = 5.6680 Å, c = 5.6680 Å
α = 90.00°, β = 90.00°, γ = 90.00°
Sites, in units of the cell vectors:
Sn: 0.8436 0.8436 0.8436
Sn: 0.3436 0.6564 0.1564
Sn: 0.1564 0.3436 0.6564
Sn: 0.6564 0.1564 0.3436
Hf: 0.6429 0.3571 0.8571
Hf: 0.8571 0.6429 0.3571
Hf: 0.1429 0.1429 0.1429
Hf: 0.3571 0.8571 0.6429

Values from the calculation:
crystal system: cubic

---

For reference, E_form by record: -172.0, -272.3 meV/atom.
For reference, uncorrected energy by record: -7.50, -7.26 eV/atom.